Density functional theory data (PBE-GGA) for an optimized crystal structure of SbSe2NCl8.

Computed properties:
Formation energy from the elements (eV/f.u.): -8.7
Calculated density (g cm⁻³): 2.58
MP2020-corrected energy (eV/atom): -3.579
E (eV per atom): -3.17

Cell: 15.403 38.992 7.422 Å, 90.00 90.00 90.00°
Space group Pna2_1 (No. 33)
Inequivalent atoms, fractional coordinates:
Sb 0.008 0.081 0.000 (multiplicity 4)
Sb 0.017 0.410 0.877 (multiplicity 4)
Sb 0.058 0.238 0.498 (multiplicity 4)
Se 0.135 0.804 0.540 (multiplicity 4)
Se 0.172 0.567 0.848 (multiplicity 4)
Se 0.175 0.968 0.000 (multiplicity 4)
Se 0.193 0.119 0.499 (multiplicity 4)
Se 0.204 0.406 0.370 (multiplicity 4)
Se 0.224 0.737 0.418 (multiplicity 4)
N 0.139 0.760 0.517 (multiplicity 4)
N 0.208 0.926 0.978 (multiplicity 4)
N 0.231 0.078 0.456 (multiplicity 4)
Cl 0.003 0.715 0.832 (multiplicity 4)
Cl 0.008 0.456 0.093 (multiplicity 4)
Cl 0.017 0.451 0.632 (multiplicity 4)
Cl 0.020 0.371 0.127 (multiplicity 4)
Cl 0.024 0.364 0.665 (multiplicity 4)
Cl 0.039 0.888 0.762 (multiplicity 4)
Cl 0.048 0.269 0.775 (multiplicity 4)
Cl 0.053 0.050 0.736 (multiplicity 4)
Cl 0.062 0.878 0.307 (multiplicity 4)
Cl 0.070 0.204 0.227 (multiplicity 4)
Cl 0.077 0.039 0.194 (multiplicity 4)
Cl 0.084 0.787 0.046 (multiplicity 4)
Cl 0.119 0.191 0.678 (multiplicity 4)
Cl 0.123 0.954 0.510 (multiplicity 4)
Cl 0.140 0.113 0.996 (multiplicity 4)
Cl 0.140 0.592 0.369 (multiplicity 4)
Cl 0.169 0.686 0.435 (multiplicity 4)
Cl 0.174 0.414 0.890 (multiplicity 4)
Cl 0.181 0.512 0.872 (multiplicity 4)
Cl 0.203 0.259 0.445 (multiplicity 4)
Cl 0.206 0.653 0.897 (multiplicity 4)
Cl 0.228 0.499 0.368 (multiplicity 4)
Cl 0.233 0.353 0.423 (multiplicity 4)
Cl 0.242 0.322 0.929 (multiplicity 4)

Density functional theory data (PBE-GGA) for an optimized crystal structure of SbSe3N2Cl7.

Computed properties:
Largest piezoelectric modulus (C/m²): 0.346
Formation energy from the elements (eV/f.u.): -6.5
Calculated density (g cm⁻³): 2.68
MP2020-corrected energy (eV/atom): -3.901
E (eV per atom): -3.57

Cell: 7.335 7.371 15.770 Å, 89.84 85.72 67.95°
Space group P1 (No. 1)
Inequivalent atoms, fractional coordinates:
Sb 0.000 0.000 0.000 (multiplicity 1)
Sb 0.012 0.120 0.499 (multiplicity 1)
Se 0.181 0.433 0.809 (multiplicity 1)
Se 0.358 0.519 0.638 (multiplicity 1)
Se 0.542 0.670 0.172 (multiplicity 1)
Se 0.609 0.352 0.740 (multiplicity 1)
Se 0.671 0.802 0.335 (multiplicity 1)
Se 0.902 0.499 0.194 (multiplicity 1)
N 0.157 0.536 0.709 (multiplicity 1)
N 0.442 0.307 0.813 (multiplicity 1)
N 0.498 0.838 0.256 (multiplicity 1)
N 0.886 0.619 0.290 (multiplicity 1)
Cl 0.033 0.017 0.846 (multiplicity 1)
Cl 0.192 0.790 0.446 (multiplicity 1)
Cl 0.197 0.054 0.624 (multiplicity 1)
Cl 0.233 0.155 0.011 (multiplicity 1)
Cl 0.250 0.231 0.428 (multiplicity 1)
Cl 0.263 0.681 0.993 (multiplicity 1)
Cl 0.431 0.434 0.221 (multiplicity 1)
Cl 0.652 0.626 0.788 (multiplicity 1)
Cl 0.737 0.321 0.006 (multiplicity 1)
Cl 0.766 0.846 0.988 (multiplicity 1)
Cl 0.770 0.012 0.572 (multiplicity 1)
Cl 0.819 0.193 0.377 (multiplicity 1)
Cl 0.822 0.453 0.555 (multiplicity 1)
Cl 0.969 0.986 0.154 (multiplicity 1)

Among the records above, which one has the lowest formation energy from the elements?
SbSe2NCl8